1.
# Bi4S3N2

A relaxed structure of Bi4S3N2 (GGA-PBE, the Materials Project database).

a b c (Å): 6.8583 15.3625 3.9817
angles (deg): 90.00 90.00 90.00
Element x y z (fractional)
Bi (0.2736, 0.8495, 0.0000)
Bi (0.7736, 0.6505, 0.5000)
Bi (0.2858, 0.0683, 0.5000)
Bi (0.2142, 0.5683, 0.0000)
Bi (0.7264, 0.1505, 0.0000)
Bi (0.7142, 0.9317, 0.5000)
Bi (0.2264, 0.3495, 0.5000)
Bi (0.7858, 0.4317, 0.0000)
S (0.3528, 0.2082, 0.0000)
S (0.6472, 0.7918, 0.0000)
S (0.5000, 0.5000, 0.5000)
S (0.8528, 0.2918, 0.5000)
S (0.0000, 0.0000, 0.0000)
S (0.1472, 0.7082, 0.5000)
N (0.3785, 0.9237, 0.5000)
N (0.8785, 0.5763, 0.0000)
N (0.1215, 0.4237, 0.0000)
N (0.6215, 0.0763, 0.5000)

2.
# Bi4S3N2

A relaxed structure of Bi4S3N2 (GGA-PBE, the Materials Project database).

a b c (Å): 6.8911 11.0910 10.8807
angles (deg): 90.00 90.00 90.00
Element x y z (fractional)
Bi (0.8086, 0.9418, 0.5923)
Bi (0.6914, 0.0582, 0.0923)
Bi (0.1914, 0.4418, 0.4077)
Bi (0.3086, 0.5582, 0.9077)
Bi (0.5955, 0.2500, 0.8147)
Bi (0.2336, 0.2500, 0.0433)
Bi (0.2664, 0.7500, 0.5433)
Bi (0.0955, 0.2500, 0.6853)
Bi (0.6914, 0.4418, 0.0923)
Bi (0.7664, 0.7500, 0.9567)
Bi (0.9045, 0.7500, 0.3147)
Bi (0.1914, 0.0582, 0.4077)
Bi (0.8086, 0.5582, 0.5923)
Bi (0.4045, 0.7500, 0.1853)
Bi (0.3086, 0.9418, 0.9077)
Bi (0.7336, 0.2500, 0.4567)
N (0.0540, 0.8786, 0.4549)
N (0.9460, 0.1214, 0.5451)
N (0.4460, 0.1214, 0.9549)
N (0.5540, 0.8786, 0.0451)
N (0.5540, 0.6214, 0.0451)
N (0.9460, 0.3786, 0.5451)
N (0.4460, 0.3786, 0.9549)
N (0.0540, 0.6214, 0.4549)
S (0.6102, 0.5740, 0.3700)
S (0.3898, 0.0740, 0.6300)
S (0.1102, 0.9260, 0.1300)
S (0.4631, 0.2500, 0.2286)
S (0.3898, 0.4260, 0.6300)
S (0.8898, 0.4260, 0.8700)
S (0.6102, 0.9260, 0.3700)
S (0.8898, 0.0740, 0.8700)
S (0.9631, 0.2500, 0.2714)
S (0.0369, 0.7500, 0.7286)
S (0.5369, 0.7500, 0.7714)
S (0.1102, 0.5740, 0.1300)

3.
# Bi4S3N2

A relaxed structure of Bi4S3N2 (GGA-PBE, the Materials Project database).

a b c (Å): 7.2874 3.8836 9.3640
angles (deg): 90.00 56.59 74.55
Element x y z (fractional)
S (0.2970, 0.3515, 0.2769)
S (0.7030, 0.6485, 0.7231)
S (0.0000, 0.0000, 0.0000)
Bi (0.6346, 0.6827, 0.1161)
Bi (0.7591, 0.1204, 0.4140)
Bi (0.2409, 0.8796, 0.5860)
Bi (0.3654, 0.3173, 0.8839)
N (0.6222, 0.6889, 0.3601)
N (0.3778, 0.3111, 0.6399)

4.
# Bi4Se3N2

A relaxed structure of Bi4Se3N2 (GGA-PBE, the Materials Project database).

a b c (Å): 7.1807 11.1525 11.0899
angles (deg): 90.00 90.00 90.00
Element x y z (fractional)
N (0.5503, 0.8782, 0.0439)
N (0.9497, 0.3782, 0.5439)
N (0.0503, 0.8782, 0.4561)
N (0.4497, 0.3782, 0.9561)
N (0.4497, 0.1218, 0.9561)
N (0.9497, 0.1218, 0.5439)
N (0.5503, 0.6218, 0.0439)
N (0.0503, 0.6218, 0.4561)
Bi (0.7607, 0.7500, 0.9645)
Bi (0.7393, 0.2500, 0.4645)
Bi (0.2607, 0.7500, 0.5355)
Bi (0.9099, 0.7500, 0.3162)
Bi (0.0901, 0.2500, 0.6838)
Bi (0.2393, 0.2500, 0.0355)
Bi (0.5901, 0.2500, 0.8162)
Bi (0.3225, 0.5558, 0.9019)
Bi (0.3225, 0.9442, 0.9019)
Bi (0.1775, 0.0558, 0.4019)
Bi (0.4099, 0.7500, 0.1838)
Bi (0.6775, 0.4442, 0.0981)
Bi (0.6775, 0.0558, 0.0981)
Bi (0.8225, 0.9442, 0.5981)
Bi (0.8225, 0.5558, 0.5981)
Bi (0.1775, 0.4442, 0.4019)
Se (0.1070, 0.5650, 0.1386)
Se (0.9528, 0.2500, 0.2645)
Se (0.6070, 0.9350, 0.3614)
Se (0.8930, 0.0650, 0.8614)
Se (0.3930, 0.4350, 0.6386)
Se (0.0472, 0.7500, 0.7355)
Se (0.6070, 0.5650, 0.3614)
Se (0.4528, 0.2500, 0.2355)
Se (0.3930, 0.0650, 0.6386)
Se (0.5472, 0.7500, 0.7645)
Se (0.1070, 0.9350, 0.1386)
Se (0.8930, 0.4350, 0.8614)

| no. | offset from the most stable computed form (meV per atom) | formation energy from the elements (meV/atom) |
| --- | --- | --- |
| 1 | 90 | -151 |
| 2 | 83 | -159 |
| 3 | 0 | -241 |
| 4 | 76 | -7 |